VASP calculation (r2SCAN) on a geometry-optimized Rb2CaH4 structure.

abc: 4.492 4.492 14.811
angles: 90.00 90.00 90.00
Space group I4/mmm (No. 139)
Symmetry-distinct sites (fractional):
Rb: 0.000 0.000 0.148 [4 per cell]
Ca: 0.000 0.000 0.500 [2 per cell]
H: 0.000 0.000 0.344 [4 per cell]
H: 0.000 0.500 0.000 [4 per cell]

## Properties
- Calculated formation energy: -0.426 eV per atom
- M_tot: 0.000 μB/f.u.